{
  "formula": "Li6V3P8O29",
  "functional": "PBE+U",
  "state": "optimized geometry",
  "delta_e_f_ev_per_fu": -122.32,
  "space_group": "No. 5",
  "e_above_lowest_polymorph_mev_per_atom": 4,
  "energy_ev_per_atom": -7.02,
  "lattice_angstrom": [[8.532, -4.916, 0.000], [8.532, 4.916, 0.000], [-0.039, 0.000, 13.954]],
  "species": ["Li", "Li", "Li", "Li", "Li", "Li", "Li", "Li", "Li", "Li", "Li", "Li", "V", "V", "V", "V", "V", "V", "P", "P", "P", "P", "P", "P", "P", "P", "P", "P", "P", "P", "P", "P", "P", "P", "O", "O", "O", "O", "O", "O", "O", "O", "O", "O", "O", "O", "O", "O", "O", "O", "O", "O", "O", "O", "O", "O", "O", "O", "O", "O", "O", "O", "O", "O", "O", "O", "O", "O", "O", "O", "O", "O", "O", "O", "O", "O", "O", "O", "O", "O", "O", "O", "O", "O", "O", "O", "O", "O", "O", "O", "O", "O"],
  "frac_coords": [[0.046, 0.046, 0.309], [0.048, 0.635, 0.811], [0.188, 0.040, 0.811], [0.365, 0.952, 0.189], [0.367, 0.407, 0.690], [0.494, 0.412, 0.191], [0.588, 0.506, 0.809], [0.593, 0.633, 0.310], [0.606, 0.061, 0.366], [0.939, 0.394, 0.634], [0.954, 0.954, 0.691], [0.960, 0.812, 0.189], [0.268, 0.297, 0.496], [0.274, 0.161, 0.001], [0.703, 0.732, 0.504], [0.704, 0.296, 0.000], [0.838, 0.162, 0.500], [0.839, 0.726, 0.999], [0.040, 0.048, 0.091], [0.043, 0.639, 0.591], [0.183, 0.048, 0.594], [0.187, 0.496, 0.090], [0.360, 0.407, 0.907], [0.361, 0.957, 0.409], [0.501, 0.407, 0.408], [0.504, 0.813, 0.910], [0.593, 0.499, 0.592], [0.593, 0.640, 0.093], [0.604, 0.064, 0.623], [0.608, 0.061, 0.124], [0.936, 0.396, 0.377], [0.939, 0.392, 0.876], [0.952, 0.817, 0.406], [0.952, 0.960, 0.909], [0.018, 0.641, 0.088], [0.019, 0.062, 0.591], [0.026, 0.731, 0.681], [0.028, 0.732, 0.315], [0.029, 0.970, 0.182], [0.030, 0.971, 0.818], [0.057, 0.728, 0.499], [0.063, 0.937, 0.000], [0.086, 0.240, 0.914], [0.087, 0.388, 0.423], [0.162, 0.214, 0.577], [0.178, 0.345, 0.072], [0.189, 0.063, 0.091], [0.192, 0.476, 0.591], [0.266, 0.521, 0.995], [0.268, 0.972, 0.685], [0.269, 0.974, 0.319], [0.272, 0.943, 0.501], [0.274, 0.485, 0.815], [0.278, 0.490, 0.177], [0.357, 0.388, 0.411], [0.359, 0.982, 0.912], [0.374, 0.247, 0.926], [0.385, 0.101, 0.424], [0.453, 0.210, 0.581], [0.460, 0.054, 0.087], [0.479, 0.734, 0.005], [0.486, 0.514, 0.500], [0.510, 0.722, 0.823], [0.515, 0.726, 0.185], [0.516, 0.481, 0.681], [0.519, 0.484, 0.319], [0.524, 0.394, 0.910], [0.524, 0.808, 0.409], [0.600, 0.215, 0.087], [0.605, 0.062, 0.233], [0.606, 0.476, 0.090], [0.611, 0.063, 0.729], [0.612, 0.643, 0.589], [0.612, 0.913, 0.577], [0.648, 0.241, 0.424], [0.655, 0.822, 0.928], [0.753, 0.626, 0.074], [0.754, 0.065, 0.581], [0.759, 0.352, 0.576], [0.760, 0.914, 0.086], [0.785, 0.400, 0.913], [0.786, 0.838, 0.423], [0.790, 0.547, 0.419], [0.792, 0.108, 0.928], [0.892, 0.208, 0.072], [0.899, 0.615, 0.576], [0.935, 0.246, 0.419], [0.937, 0.389, 0.271], [0.937, 0.811, 0.909], [0.938, 0.395, 0.767], [0.938, 0.981, 0.409], [0.946, 0.540, 0.913]]
}



{
  "formula": "Na3Fe2As3O12",
  "functional": "PBE+U",
  "state": "optimized geometry",
  "delta_e_f_ev_per_fu": -37.79,
  "space_group": "No. 230",
  "energy_ev_per_atom": -5.96,
  "lattice_angstrom": [[-6.213, 6.213, 6.213], [6.213, -6.213, 6.213], [6.213, 6.213, -6.213]],
  "species": ["Na", "Na", "Na", "Na", "Na", "Na", "Na", "Na", "Na", "Na", "Na", "Na", "Fe", "Fe", "Fe", "Fe", "Fe", "Fe", "Fe", "Fe", "As", "As", "As", "As", "As", "As", "As", "As", "As", "As", "As", "As", "O", "O", "O", "O", "O", "O", "O", "O", "O", "O", "O", "O", "O", "O", "O", "O", "O", "O", "O", "O", "O", "O", "O", "O", "O", "O", "O", "O", "O", "O", "O", "O", "O", "O", "O", "O", "O", "O", "O", "O", "O", "O", "O", "O", "O", "O", "O", "O"],
  "frac_coords": [[0.125, 0.250, 0.375], [0.125, 0.375, 0.750], [0.250, 0.375, 0.125], [0.250, 0.875, 0.625], [0.375, 0.125, 0.250], [0.375, 0.750, 0.125], [0.625, 0.250, 0.875], [0.625, 0.875, 0.750], [0.750, 0.125, 0.375], [0.750, 0.625, 0.875], [0.875, 0.625, 0.250], [0.875, 0.750, 0.625], [0.000, 0.000, 0.000], [0.000, 0.000, 0.500], [0.000, 0.500, 0.000], [0.000, 0.500, 0.500], [0.500, 0.000, 0.000], [0.500, 0.000, 0.500], [0.500, 0.500, 0.000], [0.500, 0.500, 0.500], [0.125, 0.750, 0.875], [0.125, 0.875, 0.250], [0.250, 0.125, 0.875], [0.250, 0.625, 0.375], [0.375, 0.250, 0.625], [0.375, 0.625, 0.750], [0.625, 0.375, 0.250], [0.625, 0.750, 0.375], [0.750, 0.375, 0.625], [0.750, 0.875, 0.125], [0.875, 0.125, 0.750], [0.875, 0.250, 0.125], [0.010, 0.201, 0.114], [0.010, 0.309, 0.896], [0.086, 0.701, 0.691], [0.086, 0.886, 0.396], [0.104, 0.614, 0.414], [0.104, 0.990, 0.691], [0.114, 0.010, 0.201], [0.114, 0.604, 0.914], [0.191, 0.201, 0.586], [0.191, 0.490, 0.604], [0.201, 0.114, 0.010], [0.201, 0.586, 0.191], [0.299, 0.309, 0.914], [0.299, 0.490, 0.386], [0.309, 0.896, 0.010], [0.309, 0.914, 0.299], [0.386, 0.299, 0.490], [0.386, 0.586, 0.896], [0.396, 0.086, 0.886], [0.396, 0.809, 0.510], [0.414, 0.104, 0.614], [0.414, 0.809, 0.799], [0.490, 0.386, 0.299], [0.490, 0.604, 0.191], [0.510, 0.396, 0.809], [0.510, 0.614, 0.701], [0.586, 0.191, 0.201], [0.586, 0.896, 0.386], [0.604, 0.191, 0.490], [0.604, 0.914, 0.114], [0.614, 0.414, 0.104], [0.614, 0.701, 0.510], [0.691, 0.086, 0.701], [0.691, 0.104, 0.990], [0.701, 0.510, 0.614], [0.701, 0.691, 0.086], [0.799, 0.414, 0.809], [0.799, 0.886, 0.990], [0.809, 0.510, 0.396], [0.809, 0.799, 0.414], [0.886, 0.396, 0.086], [0.886, 0.990, 0.799], [0.896, 0.010, 0.309], [0.896, 0.386, 0.586], [0.914, 0.114, 0.604], [0.914, 0.299, 0.309], [0.990, 0.691, 0.104], [0.990, 0.799, 0.886]]
}



{
  "formula": "VHgO3",
  "functional": "PBE+U",
  "state": "optimized geometry",
  "delta_e_f_ev_per_fu": -8.95,
  "space_group": "No. 2",
  "energy_ev_per_atom": -5.88,
  "lattice_angstrom": [[3.650, 0.000, 0.000], [-0.249, 5.066, 0.000], [-1.764, -0.509, 8.601]],
  "species": ["V", "V", "Hg", "Hg", "O", "O", "O", "O", "O", "O"],
  "frac_coords": [[0.175, 0.389, 0.363], [0.825, 0.611, 0.637], [0.353, 0.822, 0.075], [0.647, 0.178, 0.925], [0.097, 0.499, 0.174], [0.142, 0.065, 0.339], [0.295, 0.521, 0.589], [0.705, 0.479, 0.411], [0.858, 0.935, 0.661], [0.903, 0.501, 0.826]]
}



{
  "formula": "LiMo2P3O13",
  "functional": "PBE+U",
  "state": "optimized geometry",
  "delta_e_f_ev_per_fu": -45.57,
  "space_group": "No. 15",
  "e_above_lowest_polymorph_mev_per_atom": 40,
  "energy_ev_per_atom": -7.07,
  "lattice_angstrom": [[5.396, -7.114, 0.000], [5.396, 7.114, 0.000], [-5.148, 0.000, 7.163]],
  "species": ["Li", "Li", "Mo", "Mo", "Mo", "Mo", "P", "P", "P", "P", "P", "P", "O", "O", "O", "O", "O", "O", "O", "O", "O", "O", "O", "O", "O", "O", "O", "O", "O", "O", "O", "O", "O", "O", "O", "O", "O", "O"],
  "frac_coords": [[0.000, 0.500, 0.000], [0.500, 0.000, 0.500], [0.162, 0.328, 0.672], [0.328, 0.162, 0.172], [0.672, 0.838, 0.828], [0.838, 0.672, 0.328], [0.012, 0.988, 0.250], [0.240, 0.651, 0.559], [0.349, 0.760, 0.941], [0.651, 0.240, 0.059], [0.760, 0.349, 0.441], [0.988, 0.012, 0.750], [0.000, 0.102, 0.419], [0.000, 0.898, 0.581], [0.058, 0.211, 0.797], [0.100, 0.650, 0.400], [0.102, 0.000, 0.919], [0.202, 0.463, 0.533], [0.211, 0.058, 0.297], [0.239, 0.761, 0.750], [0.246, 0.570, 0.907], [0.303, 0.353, 0.231], [0.350, 0.900, 0.100], [0.353, 0.303, 0.731], [0.430, 0.754, 0.593], [0.463, 0.202, 0.033], [0.537, 0.798, 0.967], [0.570, 0.246, 0.407], [0.647, 0.697, 0.269], [0.650, 0.100, 0.900], [0.697, 0.647, 0.769], [0.754, 0.430, 0.093], [0.761, 0.239, 0.250], [0.789, 0.942, 0.703], [0.798, 0.537, 0.467], [0.898, 0.000, 0.081], [0.900, 0.350, 0.600], [0.942, 0.789, 0.203]]
}